Rb2MgSi5O12 | PBE | relaxed

Summary:
magnetic moment: 0.0 μB per cell
energy of formation: -3.130 eV/atom
offset from the most stable computed form: 0 meV per atom
symmetry: Pbca, No. 61

Lattice parameters (Å, degrees): 13.6472 13.7249 13.9287 90.00 90.00 90.00
Fractional positions:
Rb  0.1079  0.1036  0.0902
Rb  0.1079  0.3964  0.5902
Rb  0.1533  0.6385  0.8557
Rb  0.1533  0.8615  0.3557
Rb  0.3467  0.1385  0.8557
Rb  0.3467  0.3615  0.3557
Rb  0.3921  0.6036  0.0902
Rb  0.3921  0.8964  0.5902
Rb  0.6079  0.1036  0.4098
Rb  0.6079  0.3964  0.9098
Rb  0.6533  0.6385  0.6443
Rb  0.6533  0.8615  0.1443
Rb  0.8467  0.1385  0.6443
Rb  0.8467  0.3615  0.1443
Rb  0.8921  0.6036  0.4098
Rb  0.8921  0.8964  0.9098
Mg  0.0603  0.1259  0.8343
Mg  0.0603  0.3741  0.3343
Mg  0.4397  0.6259  0.8343
Mg  0.4397  0.8741  0.3343
Mg  0.5603  0.1259  0.6657
Mg  0.5603  0.3741  0.1657
Mg  0.9397  0.6259  0.6657
Mg  0.9397  0.8741  0.1657
Si  0.1039  0.1515  0.4004
Si  0.1039  0.3485  0.9004
Si  0.1071  0.6221  0.1629
Si  0.1071  0.8779  0.6629
Si  0.1263  0.0965  0.6134
Si  0.1263  0.4035  0.1134
Si  0.1572  0.6756  0.5725
Si  0.1572  0.8244  0.0725
Si  0.1851  0.5881  0.3680
Si  0.1851  0.9119  0.8680
Si  0.3149  0.0881  0.3680
Si  0.3149  0.4119  0.8680
Si  0.3428  0.1756  0.5725
Si  0.3428  0.3244  0.0725
Si  0.3737  0.5965  0.6134
Si  0.3737  0.9035  0.1134
Si  0.3929  0.1221  0.1629
Si  0.3929  0.3779  0.6629
Si  0.3961  0.6515  0.4004
Si  0.3961  0.8485  0.9004
Si  0.6039  0.1515  0.0996
Si  0.6039  0.3485  0.5996
Si  0.6071  0.6221  0.3371
Si  0.6071  0.8779  0.8371
Si  0.6263  0.0965  0.8866
Si  0.6263  0.4035  0.3866
Si  0.6572  0.6756  0.9275
Si  0.6572  0.8244  0.4275
Si  0.6851  0.5881  0.1320
Si  0.6851  0.9119  0.6320
Si  0.8149  0.0881  0.1320
Si  0.8149  0.4119  0.6320
Si  0.8428  0.1756  0.9275
Si  0.8428  0.3244  0.4275
Si  0.8737  0.5965  0.8866
Si  0.8737  0.9035  0.3866
Si  0.8929  0.1221  0.3371
Si  0.8929  0.3779  0.8371
Si  0.8961  0.6515  0.0996
Si  0.8961  0.8485  0.5996
O  0.0121  0.1183  0.3290
O  0.0121  0.3817  0.8290
O  0.0552  0.1340  0.6958
O  0.0552  0.3660  0.1958
O  0.0740  0.1120  0.5081
O  0.0740  0.3880  0.0081
O  0.0759  0.6102  0.6233
O  0.0759  0.8898  0.1233
O  0.1260  0.2346  0.8980
O  0.1260  0.2654  0.3980
O  0.1375  0.0165  0.8822
O  0.1375  0.4835  0.3822
O  0.1431  0.7055  0.0874
O  0.1431  0.7945  0.5874
O  0.1490  0.6472  0.2701
O  0.1490  0.8528  0.7701
O  0.1549  0.5212  0.1224
O  0.1549  0.9788  0.6224
O  0.1564  0.6654  0.4543
O  0.1564  0.8346  0.9543
O  0.1943  0.0812  0.3609
O  0.1943  0.4188  0.8609
O  0.2326  0.1528  0.6142
O  0.2326  0.3472  0.1142
O  0.2674  0.6528  0.6142
O  0.2674  0.8472  0.1142
O  0.3057  0.5812  0.3609
O  0.3057  0.9188  0.8609
O  0.3436  0.1654  0.4543
O  0.3436  0.3346  0.9543
O  0.3451  0.0212  0.1224
O  0.3451  0.4788  0.6224
O  0.3510  0.1472  0.2701
O  0.3510  0.3528  0.7701
O  0.3569  0.2055  0.0874
O  0.3569  0.2945  0.5874
O  0.3625  0.5165  0.8822
O  0.3625  0.9835  0.3822
O  0.3740  0.7346  0.8980
O  0.3740  0.7654  0.3980
O  0.4241  0.1102  0.6233
O  0.4241  0.3898  0.1233
O  0.4260  0.6120  0.5081
O  0.4260  0.8880  0.0081
O  0.4448  0.6340  0.6958
O  0.4448  0.8660  0.1958
O  0.4879  0.6183  0.3290
O  0.4879  0.8817  0.8290
O  0.5121  0.1183  0.1710
O  0.5121  0.3817  0.6710
O  0.5552  0.1340  0.8042
O  0.5552  0.3660  0.3042
O  0.5740  0.1120  0.9919
O  0.5740  0.3880  0.4919
O  0.5759  0.6102  0.8767
O  0.5759  0.8898  0.3767
O  0.6260  0.2346  0.6020
O  0.6260  0.2654  0.1020
O  0.6375  0.0165  0.6178
O  0.6375  0.4835  0.1178
O  0.6431  0.7055  0.4126
O  0.6431  0.7945  0.9126
O  0.6490  0.6472  0.2299
O  0.6490  0.8528  0.7299
O  0.6549  0.5212  0.3776
O  0.6549  0.9788  0.8776
O  0.6564  0.6654  0.0457
O  0.6564  0.8346  0.5457
O  0.6943  0.0812  0.1391
O  0.6943  0.4188  0.6391
O  0.7326  0.1528  0.8858
O  0.7326  0.3472  0.3858
O  0.7674  0.6528  0.8858
O  0.7674  0.8472  0.3858
O  0.8057  0.5812  0.1391
O  0.8057  0.9188  0.6391
O  0.8436  0.1654  0.0457
O  0.8436  0.3346  0.5457
O  0.8451  0.0212  0.3776
O  0.8451  0.4788  0.8776
O  0.8510  0.1472  0.2299
O  0.8510  0.3528  0.7299
O  0.8569  0.2055  0.4126
O  0.8569  0.2945  0.9126
O  0.8625  0.5165  0.6178
O  0.8625  0.9835  0.1178
O  0.8740  0.7346  0.6020
O  0.8740  0.7654  0.1020
O  0.9241  0.1102  0.8767
O  0.9241  0.3898  0.3767
O  0.9260  0.6120  0.9919
O  0.9260  0.8880  0.4919
O  0.9448  0.6340  0.8042
O  0.9448  0.8660  0.3042
O  0.9879  0.6183  0.1710
O  0.9879  0.8817  0.6710

=====

Dy2TlHg | PBE | relaxed

Summary:
energy of formation: -0.412 eV/atom
symmetry: Fm-3m, No. 225

Lattice parameters (Å, degrees): 5.3229 5.3229 5.3229 60.00 60.00 60.00
Fractional positions:
Dy  0.2500  0.2500  0.2500
Dy  0.7500  0.7500  0.7500
Tl  0.0000  0.0000  0.0000
Hg  0.5000  0.5000  0.5000